*w*
# AlMoW2O8 (PBE with a Hubbard U, relaxed)
# - M_tot (μB per formula unit) = 1.0
# - calculated volume (Å³/f.u.) = 137.10
data_AlMoW2O8
_cell_length_a 5.212
_cell_length_b 5.682
_cell_length_c 10.496
_cell_angle_alpha 90.00
_cell_angle_beta 118.09
_cell_angle_gamma 90.00
_symmetry_space_group_name_H-M 'P 1 2/c 1'
_symmetry_Int_Tables_number 13
_symmetry_space_group_name_Hall '-P 2yc'
loop_
_atom_site_label
_atom_site_fract_x
_atom_site_fract_y
_atom_site_fract_z
Al1 0.000 0.161 0.250
Mo1 0.500 0.139 0.750
W1 0.253 0.341 0.001
O1 0.192 0.391 0.610
O2 0.198 0.133 0.140
O3 0.254 0.115 0.868
O4 0.306 0.376 0.385

***

*x*
# AlMoW2O8 (PBE with a Hubbard U, relaxed)
# - M_tot (μB per formula unit) = 5.0
# - calculated volume (Å³/f.u.) = 150.48
data_AlMoW2O8
_cell_length_a 5.179
_cell_length_b 5.557
_cell_length_c 5.659
_cell_angle_alpha 74.37
_cell_angle_beta 84.28
_cell_angle_gamma 73.67
_symmetry_space_group_name_H-M 'P 1'
_symmetry_Int_Tables_number 1
_symmetry_space_group_name_Hall 'P 1'
loop_
_atom_site_label
_atom_site_fract_x
_atom_site_fract_y
_atom_site_fract_z
Al1 0.000 0.000 0.000
Mo1 0.592 0.941 0.576
W1 0.305 0.469 0.743
W2 0.879 0.427 0.387
O1 0.230 0.205 0.995
O2 0.251 0.257 0.499
O3 0.312 0.780 0.852
O4 0.497 0.642 0.444
O5 0.746 0.193 0.745
O6 0.823 0.135 0.269
O7 0.896 0.697 0.118
O8 0.945 0.639 0.621

***

Referenced to the most stable arrangement, the calculated values in kJ/mol of atoms are *w* 0.0; *x* 4.5.

***

*w*
# Al4V13Si2Sb2O28 (PBE with a Hubbard U, relaxed)
# - M_tot (μB per formula unit) = 35.0
# - calculated volume (Å³/f.u.) = 582.64
data_Al4V13Si2Sb2O28
_cell_length_a 5.621
_cell_length_b 8.937
_cell_length_c 12.106
_cell_angle_alpha 87.30
_cell_angle_beta 76.81
_cell_angle_gamma 79.77
_symmetry_space_group_name_H-M 'P 1'
_symmetry_Int_Tables_number 1
_symmetry_space_group_name_Hall 'P 1'
loop_
_atom_site_label
_atom_site_fract_x
_atom_site_fract_y
_atom_site_fract_z
Al1 0.000 0.000 0.000
Al2 0.009 0.655 0.870
Al3 0.447 0.653 0.002
Al4 0.568 0.999 0.870
V1 0.077 0.328 0.289
V2 0.135 0.967 0.725
V3 0.158 0.679 0.573
V4 0.217 0.327 0.009
V5 0.296 0.678 0.297
V6 0.427 0.968 0.146
V7 0.507 0.327 0.434
V8 0.584 0.686 0.727
V9 0.714 0.975 0.574
V10 0.791 0.328 0.861
V11 0.850 0.975 0.298
V12 0.877 0.685 0.147
V13 0.934 0.325 0.583
Si1 0.268 0.012 0.435
Si2 0.740 0.641 0.437
Sb1 0.365 0.327 0.715
Sb2 0.643 0.325 0.152
O1 0.037 0.205 0.716
O2 0.065 0.449 0.868
O3 0.111 0.936 0.551
O4 0.132 0.694 0.987
O5 0.184 0.719 0.739
O6 0.187 0.199 0.435
O7 0.217 0.440 0.570
O8 0.226 0.936 0.319
O9 0.329 0.205 0.155
O10 0.329 0.960 0.986
O11 0.355 0.441 0.300
O12 0.447 0.676 0.436
O13 0.488 0.719 0.133
O14 0.515 0.206 0.871
O15 0.520 0.448 0.002
O16 0.523 0.936 0.739
O17 0.562 0.976 0.435
O18 0.653 0.213 0.573
O19 0.679 0.699 0.885
O20 0.688 0.447 0.724
O21 0.781 0.717 0.553
O22 0.793 0.212 0.303
O23 0.823 0.454 0.437
O24 0.829 0.935 0.132
O25 0.884 0.953 0.884
O26 0.898 0.718 0.321
O27 0.924 0.206 0.997
O28 0.968 0.448 0.158

***

*x*
# Al4V13Si2Sb2O28 (PBE with a Hubbard U, relaxed)
# - M_tot (μB per formula unit) = 35.0
# - calculated volume (Å³/f.u.) = 583.10
data_Al4V13Si2Sb2O28
_cell_length_a 5.629
_cell_length_b 8.918
_cell_length_c 12.101
_cell_angle_alpha 87.21
_cell_angle_beta 77.05
_cell_angle_gamma 80.03
_symmetry_space_group_name_H-M 'P 1'
_symmetry_Int_Tables_number 1
_symmetry_space_group_name_Hall 'P 1'
loop_
_atom_site_label
_atom_site_fract_x
_atom_site_fract_y
_atom_site_fract_z
Al1 0.000 0.000 0.000
Al2 0.002 0.656 0.875
Al3 0.438 0.656 0.004
Al4 0.564 0.000 0.872
V1 0.073 0.329 0.289
V2 0.129 0.966 0.726
V3 0.153 0.679 0.574
V4 0.215 0.327 0.012
V5 0.294 0.681 0.297
V6 0.424 0.971 0.144
V7 0.501 0.328 0.437
V8 0.577 0.685 0.731
V9 0.708 0.974 0.578
V10 0.787 0.329 0.863
V11 0.849 0.976 0.301
V12 0.872 0.690 0.149
V13 0.929 0.326 0.585
Si1 0.266 0.013 0.435
Si2 0.737 0.642 0.440
Sb1 0.358 0.330 0.715
Sb2 0.647 0.322 0.160
O1 0.043 0.206 0.717
O2 0.058 0.450 0.882
O3 0.108 0.936 0.550
O4 0.123 0.700 0.991
O5 0.176 0.716 0.742
O6 0.178 0.201 0.434
O7 0.212 0.440 0.573
O8 0.230 0.937 0.318
O9 0.294 0.207 0.148
O10 0.328 0.956 0.987
O11 0.361 0.441 0.291
O12 0.446 0.672 0.438
O13 0.487 0.720 0.133
O14 0.494 0.449 0.001
O15 0.509 0.206 0.877
O16 0.515 0.937 0.742
O17 0.557 0.982 0.437
O18 0.642 0.214 0.582
O19 0.674 0.698 0.888
O20 0.698 0.448 0.727
O21 0.772 0.718 0.557
O22 0.792 0.215 0.304
O23 0.825 0.940 0.133
O24 0.827 0.455 0.440
O25 0.879 0.954 0.885
O26 0.895 0.719 0.325
O27 0.946 0.206 0.991
O28 0.950 0.449 0.158

***

Referenced to the most stable arrangement, the calculated values in kJ/mol of atoms are *w* 0.5; *x* 0.0.

***

*w*
# TaAlW2O8 (PBE with a Hubbard U, relaxed)
# - M_tot (μB per formula unit) = 4.0
# - calculated volume (Å³/f.u.) = 154.75
data_TaAlW2O8
_cell_length_a 5.224
_cell_length_b 5.399
_cell_length_c 5.964
_cell_angle_alpha 71.30
_cell_angle_beta 87.33
_cell_angle_gamma 76.36
_symmetry_space_group_name_H-M 'P 1'
_symmetry_Int_Tables_number 1
_symmetry_space_group_name_Hall 'P 1'
loop_
_atom_site_label
_atom_site_fract_x
_atom_site_fract_y
_atom_site_fract_z
Ta1 0.000 0.000 0.000
Al1 0.319 0.128 0.461
W1 0.280 0.519 0.821
W2 0.728 0.516 0.166
O1 0.129 0.248 0.168
O2 0.143 0.242 0.691
O3 0.345 0.782 0.536
O4 0.352 0.758 0.039
O5 0.593 0.265 0.423
O6 0.661 0.308 0.938
O7 0.846 0.796 0.266
O8 0.906 0.751 0.851

***

*x*
# TaAlW2O8 (PBE with a Hubbard U, relaxed)
# - M_tot (μB per formula unit) = 0.0
# - calculated volume (Å³/f.u.) = 136.48
data_TaAlW2O8
_cell_length_a 5.198
_cell_length_b 5.625
_cell_length_c 10.675
_cell_angle_alpha 90.00
_cell_angle_beta 119.00
_cell_angle_gamma 90.00
_symmetry_space_group_name_H-M 'P 1 2/c 1'
_symmetry_Int_Tables_number 13
_symmetry_space_group_name_Hall '-P 2yc'
loop_
_atom_site_label
_atom_site_fract_x
_atom_site_fract_y
_atom_site_fract_z
Ta1 0.000 0.143 0.250
Al1 0.500 0.169 0.750
W1 0.247 0.339 0.002
O1 0.217 0.386 0.619
O2 0.220 0.097 0.140
O3 0.283 0.373 0.384
O4 0.289 0.126 0.857

***

Referenced to the most stable arrangement, the calculated values in kJ/mol of atoms are *w* 10.8; *x* 0.0.

***

*w*
# AlVW2O8 (PBE with a Hubbard U, relaxed)
# - M_tot (μB per formula unit) = 2.0
# - calculated volume (Å³/f.u.) = 131.21
data_AlVW2O8
_cell_length_a 5.138
_cell_length_b 5.550
_cell_length_c 9.204
_cell_angle_alpha 90.00
_cell_angle_beta 90.34
_cell_angle_gamma 90.00
_symmetry_space_group_name_H-M 'P 1 2 1'
_symmetry_Int_Tables_number 3
_symmetry_space_group_name_Hall 'P 2y'
loop_
_atom_site_label
_atom_site_fract_x
_atom_site_fract_y
_atom_site_fract_z
Al1 0.000 0.000 0.000
Al2 0.500 0.310 0.500
V1 0.000 0.015 0.500
V2 0.500 0.296 0.000
W1 0.004 0.492 0.749
W2 0.496 0.819 0.751
O1 0.148 0.271 0.885
O2 0.158 0.776 0.360
O3 0.167 0.778 0.869
O4 0.182 0.281 0.393
O5 0.317 0.028 0.107
O6 0.334 0.532 0.631
O7 0.343 0.533 0.141
O8 0.353 0.041 0.616

***

*x*
# AlVW2O8 (PBE with a Hubbard U, relaxed)
# - M_tot (μB per formula unit) = 4.0
# - calculated volume (Å³/f.u.) = 135.58
data_AlVW2O8
_cell_length_a 4.969
_cell_length_b 5.464
_cell_length_c 5.581
_cell_angle_alpha 72.09
_cell_angle_beta 70.89
_cell_angle_gamma 89.32
_symmetry_space_group_name_H-M 'P -1'
_symmetry_Int_Tables_number 2
_symmetry_space_group_name_Hall '-P 1'
loop_
_atom_site_label
_atom_site_fract_x
_atom_site_fract_y
_atom_site_fract_z
Al1 0.000 0.000 0.000
V1 0.500 0.500 0.000
W1 0.244 0.679 0.515
O1 0.176 0.423 0.324
O2 0.176 0.940 0.245
O3 0.264 0.780 0.816
O4 0.331 0.318 0.756

***

Referenced to the most stable arrangement, the calculated values in kJ/mol of atoms are *w* 0.0; *x* 14.8.